No. 1
# Tm2InAu2

An optimized crystal structure of Tm2InAu2 (PBE, the Materials Project database).

```
Tm2InAu2
1.0
-2.143 -2.758 1.006
-6.420 4.586 -1.103
-0.432 -2.427 -7.576
Tm In Au
4 2 4
Direct
0.000 0.169 0.331 Tm
0.000 0.831 0.669 Tm
0.000 0.669 0.169 Tm
0.000 0.331 0.831 Tm
0.500 0.000 0.000 In
0.500 0.500 0.500 In
0.500 0.371 0.129 Au
0.500 0.629 0.871 Au
0.500 0.871 0.371 Au
0.500 0.129 0.629 Au
```

Output
Space-group type ... P4/mbm
ΔH_f (0 K) ... -0.8108 eV per atom
Energy above the lowest structure with this stoichiometry ... 0.000 eV/atom


No. 2
# TmInAu2

An optimized crystal structure of TmInAu2 (PBE, the Materials Project database).

```
TmInAu2
1.0
0.000 3.482 3.482
3.482 0.000 3.482
3.482 3.482 0.000
Tm In Au
1 1 2
Direct
0.500 0.500 0.500 Tm
0.000 0.000 0.000 In
0.250 0.250 0.250 Au
0.750 0.750 0.750 Au
```

Output
Space-group type ... Fm-3m
ΔH_f (0 K) ... -0.6959 eV per atom


No. 3
# UInAu2

An optimized crystal structure of UInAu2 (PBE, the Materials Project database).

```
UInAu2
1.0
0.000 3.536 3.536
3.536 0.000 3.536
3.536 3.536 0.000
U In Au
1 1 2
Direct
0.500 0.500 0.500 U
0.000 0.000 0.000 In
0.250 0.250 0.250 Au
0.750 0.750 0.750 Au
```

Output
Space-group type ... Fm-3m
ΔH_f (0 K) ... -0.2206 eV per atom


No. 4
# ZnIn3Au12

An optimized crystal structure of ZnIn3Au12 (PBE, the Materials Project database).

```
ZnIn3Au12
1.0
-4.414 1.354 1.190
-2.010 -3.336 -3.658
-0.453 -8.536 8.034
Zn In Au
1 3 12
Direct
0.500 0.668 0.000 Zn
0.500 0.666 0.500 In
0.000 0.334 0.751 In
0.000 0.334 0.249 In
0.000 0.345 0.000 Au
0.000 0.335 0.500 Au
0.500 0.666 0.756 Au
0.500 0.666 0.244 Au
0.500 0.165 0.123 Au
0.500 0.164 0.627 Au
0.500 0.165 0.877 Au
0.500 0.164 0.373 Au
0.000 0.830 0.120 Au
0.000 0.835 0.626 Au
0.000 0.830 0.880 Au
0.000 0.835 0.374 Au
```

Output
Space-group type ... Pmm2
Magnetic moment ... 0.007 μB per atom
ΔH_f (0 K) ... -0.1205 eV per atom


No. 5
# Nd2IrAu

An optimized crystal structure of Nd2IrAu (PBE, the Materials Project database).

```
Nd2IrAu
1.0
0.000 3.631 3.631
3.631 0.000 3.631
3.631 3.631 0.000
Nd Ir Au
2 1 1
Direct
0.250 0.250 0.250 Nd
0.750 0.750 0.750 Nd
0.000 0.000 0.000 Ir
0.500 0.500 0.500 Au
```

Output
Space-group type ... Fm-3m
Magnetic moment ... 0.000 μB per atom
ΔH_f (0 K) ... -0.6782 eV per atom


No. 6
# Pm2IrAu

An optimized crystal structure of Pm2IrAu (PBE, the Materials Project database).

```
Pm2IrAu
1.0
0.000 3.607 3.607
3.607 0.000 3.607
3.607 3.607 0.000
Pm Ir Au
2 1 1
Direct
0.750 0.750 0.750 Pm
0.250 0.250 0.250 Pm
0.500 0.500 0.500 Ir
0.000 0.000 0.000 Au
```

Output
Space-group type ... Fm-3m
ΔH_f (0 K) ... -0.7136 eV per atom


No. 7
# Sm2IrAu

An optimized crystal structure of Sm2IrAu (PBE, the Materials Project database).

```
Sm2IrAu
1.0
-0.727 -3.280 3.808
-4.236 0.247 2.790
-3.528 -3.629 -0.413
Sm Ir Au
2 1 1
Direct
0.250 0.250 0.250 Sm
0.750 0.750 0.750 Sm
0.000 0.000 0.000 Ir
0.500 0.500 0.500 Au
```

Output
Space-group type ... Fm-3m
ΔH_f (0 K) ... -0.7357 eV per atom


No. 8
# Tb2IrAu

An optimized crystal structure of Tb2IrAu (PBE, the Materials Project database).

```
Tb2IrAu
1.0
0.000 3.531 3.531
3.531 0.000 3.531
3.531 3.531 0.000
Tb Ir Au
2 1 1
Direct
0.250 0.250 0.250 Tb
0.750 0.750 0.750 Tb
0.000 0.000 0.000 Ir
0.500 0.500 0.500 Au
```

Output
Space-group type ... Fm-3m
Magnetic moment ... 0.001 μB per atom
ΔH_f (0 K) ... -0.8209 eV per atom